# 1
The following is a DFT calculation (GGA+U) of a relaxed structure of Na6W6Se2O25.

CIF file:
```
data_Na6W6Se2O25
_chemical_formula_sum 'Na24 W24 Se8 O100'
_cell_length_a 43.093
_cell_length_b 7.409
_cell_length_c 6.902
_cell_angle_alpha 90.00
_cell_angle_beta 98.34
_cell_angle_gamma 90.00
_space_group_name_H-M_alt 'C 1 2 1'
_space_group_IT_number 5
loop_
_space_group_symop_operation_xyz
'x,y,z'
'-x,y,-z'
'x+1/2,y+1/2,z'
'-x+1/2,y+1/2,-z'
loop_
_atom_site_label
_atom_site_type_symbol
_atom_site_fract_x
_atom_site_fract_y
_atom_site_fract_z
_atom_site_occupancy
Na1 Na 0.036 0.000 0.315 1
Na2 Na 0.037 0.497 0.271 1
Na3 Na 0.116 0.499 0.011 1
Na4 Na 0.179 0.505 0.761 1
Na5 Na 0.182 0.778 0.259 1
Na6 Na 0.248 0.557 0.548 1
W1 W 0.045 0.248 0.801 1
W2 W 0.046 0.748 0.801 1
W3 W 0.108 0.258 0.535 1
W4 W 0.108 0.745 0.533 1
W5 W 0.181 0.003 0.732 1
W6 W 0.249 0.273 0.975 1
Se1 Se 0.114 0.998 0.998 1
Se2 Se 0.189 0.356 0.268 1
O1 O 0.005 0.295 0.721 1
O2 O 0.005 0.700 0.722 1
O3 O 0.044 0.998 0.706 1
O4 O 0.047 0.195 0.055 1
O5 O 0.048 0.801 0.055 1
O6 O 0.060 0.498 0.852 1
O7 O 0.065 0.292 0.536 1
O8 O 0.065 0.705 0.531 1
O9 O 0.101 0.185 0.849 1
O10 O 0.101 0.812 0.846 1
O11 O 0.102 0.000 0.487 1
O12 O 0.112 0.312 0.290 1
O13 O 0.114 0.692 0.290 1
O14 O 0.120 0.501 0.644 1
O15 O 0.152 0.187 0.641 1
O16 O 0.153 0.812 0.641 1
O17 O 0.154 0.990 0.994 1
O18 O 0.173 0.497 0.086 1
O19 O 0.195 0.500 0.462 1
O20 O 0.201 0.997 0.523 1
O21 O 0.206 0.197 0.876 1
O22 O 0.209 0.836 0.891 1
O23 O 0.230 0.326 0.233 1
O24 O 0.239 0.751 0.263 1
O25 O 0.241 0.533 0.924 1
```

Computed properties:
Energy of formation (eV/atom): -2.088
M_tot (μB/f.u.): 0.000

# 2
The following is a DFT calculation (GGA+U) of a relaxed structure of Li4Mn5FeO12.

CIF file:
```
data_Li4Mn5FeO12
_chemical_formula_sum 'Li8 Mn10 Fe2 O24'
_cell_length_a 5.198
_cell_length_b 8.917
_cell_length_c 10.285
_cell_angle_alpha 90.00
_cell_angle_beta 90.06
_cell_angle_gamma 90.00
_space_group_name_H-M_alt 'C 1 2/m 1'
_space_group_IT_number 12
loop_
_space_group_symop_operation_xyz
'x,y,z'
'-x,-y,-z'
'-x,y,-z'
'x,-y,z'
'x+1/2,y+1/2,z'
'-x+1/2,-y+1/2,-z'
'-x+1/2,y+1/2,-z'
'x+1/2,-y+1/2,z'
loop_
_atom_site_label
_atom_site_type_symbol
_atom_site_fract_x
_atom_site_fract_y
_atom_site_fract_z
_atom_site_occupancy
Li1 Li 0.096 0.249 0.251 1
Mn1 Mn 0.000 0.000 0.000 1
Mn2 Mn 0.000 0.163 0.500 1
Mn3 Mn 0.000 0.336 0.000 1
Fe1 Fe 0.000 0.500 0.500 1
O1 O 0.156 0.323 0.606 1
O2 O 0.161 0.182 0.893 1
O3 O 0.162 0.000 0.596 1
O4 O 0.174 0.500 0.908 1
```

Computed properties:
Energy of formation (eV/atom): -1.968
M_tot (μB/f.u.): 22.999

Question: Which value of M_tot does entry 1 give?
Answer: 0.000 μB/f.u.

Question: Among the records above, which one has the highest M_tot?
Answer: Li4Mn5FeO12